Compound: Na5Ti2Si3Sn2P3O24
Source: the Materials Project
Functional: PBE
Structure: relaxed

## Properties
- SG = P1, No. 1
- energy of formation (eV/atom) = -2.79

a = 8.8663 Å, b = 8.8631 Å, c = 22.4191 Å
α = 90.01°, β = 90.05°, γ = 119.91°
Atoms (fractional coordinates):
Na1 0.0012 0.6319 0.2500
Na2 0.3693 0.0026 0.7498
Na3 0.0330 0.7007 0.5827
Na4 0.6637 0.9659 0.5842
Na5 0.2978 0.9698 0.0823
Na6 0.0330 0.3361 0.0855
Na7 0.9713 0.6688 0.9182
Na8 0.9661 0.3025 0.4162
Na9 0.3366 0.0332 0.4167
Na10 0.0011 0.9982 0.5001
Na11 0.9969 0.9990 0.0001
Na12 0.6655 0.3286 0.8317
Na13 0.6631 0.3332 0.3344
Na14 0.3442 0.6628 0.1673
Na15 0.3345 0.6533 0.6658
Ti1 0.9872 0.9944 0.3536
Ti2 0.9959 0.0002 0.6471
Ti3 0.0027 0.0031 0.1470
Ti4 0.6655 0.3321 0.6845
Ti5 0.6657 0.3407 0.4818
Ti6 0.3422 0.6766 0.5189
Si1 0.0003 0.2876 0.2503
Si2 0.7118 0.0036 0.7486
Si3 0.3754 0.0486 0.5830
Si4 0.6609 0.6180 0.5843
Si5 0.9549 0.6275 0.0834
Si6 0.3765 0.3361 0.0851
Si7 0.3364 0.9643 0.9155
Si8 0.6246 0.9568 0.4169
Si9 0.0397 0.6669 0.4173
Sn1 0.0008 0.0056 0.8515
Sn2 0.6635 0.3308 0.1872
Sn3 0.6583 0.3283 0.9809
Sn4 0.3364 0.6665 0.0180
Sn5 0.3357 0.6639 0.3140
Sn6 0.3383 0.6654 0.8126
P1 0.2889 0.0030 0.2509
P2 0.7117 0.7157 0.2496
P3 0.2900 0.2902 0.7483
P4 0.9943 0.7050 0.7492
P5 0.9564 0.3341 0.5832
P6 0.6685 0.0405 0.0841
P7 0.6258 0.6671 0.9162
P8 0.0411 0.3731 0.9165
P9 0.3363 0.3795 0.4175
O1 0.2003 0.0233 0.3071
O2 0.8290 0.8018 0.3055
O3 0.9766 0.1671 0.3095
O4 0.2187 0.1765 0.8049
O5 0.9678 0.7834 0.8073
O6 0.8272 0.0381 0.8079
O7 0.8086 0.9755 0.6899
O8 0.1711 0.1964 0.6944
O9 0.0302 0.8282 0.6948
O10 0.8035 0.8264 0.1945
O11 0.0225 0.1920 0.1910
O12 0.1749 0.9728 0.1944
O13 0.8686 0.3658 0.6376
O14 0.5022 0.1336 0.6415
O15 0.6393 0.4961 0.6414
O16 0.8807 0.5020 0.1420
O17 0.6255 0.1172 0.1385
O18 0.4935 0.3697 0.1435
O19 0.4468 0.2795 0.0271
O20 0.8432 0.5441 0.0223
O21 0.7114 0.1596 0.0284
O22 0.4698 0.1655 0.5240
O23 0.7031 0.5297 0.5269
O24 0.8410 0.2974 0.5269
O25 0.5460 0.6985 0.9725
O26 0.1484 0.4497 0.9743
O27 0.2931 0.8412 0.9750
O28 0.5333 0.8341 0.4763
O29 0.3008 0.4662 0.4713
O30 0.1692 0.7002 0.4753
O31 0.1144 0.6196 0.3573
O32 0.4982 0.8775 0.3596
O33 0.3717 0.4874 0.3604
O34 0.1255 0.4927 0.8620
O35 0.3630 0.8759 0.8554
O36 0.5114 0.6310 0.8603
O37 0.0328 0.8467 0.4090
O38 0.8203 0.9819 0.4101
O39 0.1720 0.1960 0.4115
O40 0.0225 0.1916 0.9120
O41 0.1536 0.9704 0.9109
O42 0.8088 0.8278 0.9113
O43 0.9706 0.1672 0.5906
O44 0.1798 0.0180 0.5914
O45 0.8373 0.8135 0.5913
O46 0.9826 0.8226 0.0924
O47 0.8330 0.0247 0.0917
O48 0.1802 0.1615 0.0927
O49 0.6836 0.1715 0.7408
O50 0.4707 0.3068 0.7412
O51 0.8340 0.5238 0.7415
O52 0.7014 0.5357 0.2471
O53 0.8283 0.3125 0.2475
O54 0.4717 0.1662 0.2464
O55 0.6529 0.5083 0.9204
O56 0.8630 0.3643 0.9216
O57 0.5120 0.1532 0.9195
O58 0.6469 0.1498 0.4253
O59 0.4942 0.3516 0.4251
O60 0.8504 0.4911 0.4263
O61 0.3461 0.5014 0.0782
O62 0.1515 0.6498 0.0790
O63 0.5032 0.8624 0.0771
O64 0.3555 0.8520 0.5764
O65 0.4937 0.6450 0.5765
O66 0.1355 0.4988 0.5766
O67 0.3006 0.8336 0.2536
O68 0.5304 0.6973 0.2545
O69 0.1718 0.4840 0.2531
O70 0.3030 0.4703 0.7541
O71 0.1643 0.6934 0.7532
O72 0.5151 0.8305 0.7508